! PBE+U NiP2O7, relaxed; values from VASP
! * E (MP2020): -138.10 eV for the cell shown
! * E: -61.70 eV/f.u.
! * energy of formation from the pure elements: -1781 meV per atom
! * spin magnetization: 0.0393 μB per atom
! * energy relative to the lowest polymorph listed for this composition: 217 meV/atom
&SYSTEM
  ibrav = 0, nat = 20, ntyp = 3
/
ATOMIC_SPECIES
Ni 58.69 Ni.upf
P 30.97 P.upf
O 16.00 O.upf
ATOMIC_POSITIONS angstrom
Ni 1.5002 0.8939 1.8971
Ni 8.1288 5.5746 4.4976
P 2.3603 4.2202 1.6021
P 4.9350 5.7625 5.4671
P 4.6940 0.7059 0.9276
P 7.2688 2.2483 4.7926
O 1.8182 5.4257 2.3911
O 1.5732 2.9328 1.7269
O 3.7486 5.5099 4.5399
O 4.3332 0.4250 6.3140
O 2.3074 4.6240 0.0498
O 3.4971 0.6988 1.8815
O 3.8130 3.9054 2.0023
O 5.8160 2.5630 4.3924
O 6.1320 5.7697 4.5132
O 7.3216 1.8445 6.3448
O 5.2959 6.0435 0.0806
O 5.8805 0.9586 1.8548
O 8.0559 3.5357 4.6677
O 7.8109 1.0428 4.0035
CELL_PARAMETERS angstrom
6.3761 0.0000 0.0000
0.4687 6.5962 0.0000
2.7843 -0.1277 6.3947